Record 1
The following is a DFT calculation (PBE-GGA) of a relaxed AgSO4 crystal.

Results
The space group is P-1 (2). As for the total energy: -5.3630 eV/atom. The formation energy comes out at -1361 meV per atom. For the mass density, the calculation gives 4.0 g/cm3.

Unit cell a=4.798 b=4.891 c=8.382 alpha=79.92 beta=75.81 gamma=62.78
Positions (direct):
Ag: 0.000 0.000 0.000
Ag: 0.500 0.500 0.500
S: 0.156 0.384 0.251
S: 0.844 0.616 0.749
O: 0.020 0.258 0.410
O: 0.085 0.295 0.782
O: 0.251 0.186 0.113
O: 0.464 0.379 0.268
O: 0.536 0.621 0.732
O: 0.749 0.814 0.887
O: 0.915 0.705 0.218
O: 0.980 0.742 0.590

=====

Record 2
The following is a DFT calculation (PBE-GGA) of a relaxed LiBiF6 crystal.

Results
The space group is R-3 (148). As for the total energy: -4.3020 eV/atom. The formation energy comes out at -2488 meV per atom. For the mass density, the calculation gives 4.8 g/cm3.

Unit cell a=5.679 b=5.679 c=5.679 alpha=54.93 beta=54.93 gamma=54.93
Positions (direct):
Li: 0.000 0.000 0.000
Bi: 0.500 0.500 0.500
F: 0.115 0.387 0.750
F: 0.250 0.885 0.613
F: 0.387 0.750 0.115
F: 0.613 0.250 0.885
F: 0.750 0.115 0.387
F: 0.885 0.613 0.250

=====

Record 3
The following is a DFT calculation (PBE-GGA) of a relaxed Nb5Ga3 crystal.

Results
The space group is P6_3/mcm (193). As for the total energy: -7.6934 eV/atom. The formation energy comes out at -245 meV per atom. For the mass density, the calculation gives 8.0 g/cm3.

Unit cell a=7.795 b=7.795 c=5.300 alpha=90.00 beta=90.00 gamma=120.00
Positions (direct):
Nb: 0.000 0.244 0.250
Nb: 0.000 0.756 0.750
Nb: 0.244 0.000 0.250
Nb: 0.244 0.244 0.750
Nb: 0.333 0.667 0.000
Nb: 0.333 0.667 0.500
Nb: 0.667 0.333 0.000
Nb: 0.667 0.333 0.500
Nb: 0.756 0.000 0.750
Nb: 0.756 0.756 0.250
Ga: 0.000 0.395 0.750
Ga: 0.000 0.605 0.250
Ga: 0.395 0.000 0.750
Ga: 0.395 0.395 0.250
Ga: 0.605 0.000 0.250
Ga: 0.605 0.605 0.750

=====

Record 4
The following is a DFT calculation (PBE-GGA) of a relaxed TbSe crystal.

Results
The space group is P6_3mc (186). As for the total energy: -5.3028 eV/atom. The formation energy comes out at -1474 meV per atom. For the mass density, the calculation gives 5.9 g/cm3.

Unit cell a=4.606 b=4.606 c=7.265 alpha=90.00 beta=90.00 gamma=120.00
Positions (direct):
Tb: 0.333 0.667 0.000
Tb: 0.667 0.333 0.500
Se: 0.333 0.667 0.385
Se: 0.667 0.333 0.885

=====

Record 5
The following is a DFT calculation (PBE-GGA) of a relaxed MnCo3 crystal.

Results
The space group is Pm-3m (221). As for the total energy: -7.5376 eV/atom. The formation energy comes out at 84 meV per atom. For the mass density, the calculation gives 9.0 g/cm3.

Unit cell a=3.502 b=3.502 c=3.502 alpha=90.00 beta=90.00 gamma=90.00
Positions (direct):
Mn: 0.000 0.000 0.000
Co: 0.000 0.500 0.500
Co: 0.500 0.000 0.500
Co: 0.500 0.500 0.000

=====

Record 6
The following is a DFT calculation (PBE-GGA) of a relaxed Cs2PrAuCl6 crystal.

Results
The space group is Fm-3m (225). As for the total energy: -3.7798 eV/atom. The formation energy comes out at -2054 meV per atom. For the mass density, the calculation gives 4.0 g/cm3.

Unit cell a=7.833 b=7.833 c=7.833 alpha=60.00 beta=60.00 gamma=60.00
Positions (direct):
Cs: 0.250 0.250 0.250
Cs: 0.750 0.750 0.750
Pr: 0.000 0.000 0.000
Au: 0.500 0.500 0.500
Cl: 0.249 0.249 0.751
Cl: 0.249 0.751 0.249
Cl: 0.249 0.751 0.751
Cl: 0.751 0.249 0.249
Cl: 0.751 0.249 0.751
Cl: 0.751 0.751 0.249

=====

Record 7
The following is a DFT calculation (PBE-GGA) of a relaxed NaZn3 crystal.

Results
The space group is P6_3/mmc (194). As for the total energy: -1.2043 eV/atom. The formation energy comes out at 71 meV per atom. For the mass density, the calculation gives 5.0 g/cm3.

Unit cell a=6.015 b=6.015 c=4.644 alpha=90.00 beta=90.00 gamma=120.00
Positions (direct):
Na: 0.333 0.667 0.250
Na: 0.667 0.333 0.750
Zn: 0.158 0.316 0.750
Zn: 0.158 0.842 0.750
Zn: 0.316 0.158 0.250
Zn: 0.684 0.842 0.750
Zn: 0.842 0.158 0.250
Zn: 0.842 0.684 0.250

=====

Record 8
The following is a DFT calculation (PBE-GGA) of a relaxed Mg16Al12Zn crystal.

Results
The space group is Cm (8). As for the total energy: -2.5029 eV/atom. The formation energy comes out at -27 meV per atom. For the mass density, the calculation gives 2.2 g/cm3.

Unit cell a=9.063 b=9.063 c=9.063 alpha=109.31 beta=109.31 gamma=109.27
Positions (direct):
Mg: 0.000 0.000 0.000
Mg: 0.002 0.319 0.604
Mg: 0.002 0.350 0.999
Mg: 0.005 0.005 0.350
Mg: 0.005 0.603 0.322
Mg: 0.296 0.683 0.691
Mg: 0.319 0.002 0.604
Mg: 0.326 0.598 0.999
Mg: 0.350 0.002 0.999
Mg: 0.405 0.716 0.403
Mg: 0.598 0.326 0.999
Mg: 0.603 0.005 0.322
Mg: 0.643 0.643 0.666
Mg: 0.683 0.296 0.691
Mg: 0.691 0.691 0.294
Mg: 0.716 0.405 0.403
Al: 0.004 0.818 0.639
Al: 0.007 0.637 0.822
Al: 0.185 0.369 0.369
Al: 0.188 0.188 0.816
Al: 0.193 0.822 0.190
Al: 0.367 0.367 0.180
Al: 0.369 0.185 0.369
Al: 0.637 0.007 0.822
Al: 0.643 0.826 0.012
Al: 0.818 0.004 0.639
Al: 0.822 0.193 0.190
Al: 0.826 0.643 0.012
Zn: 0.369 0.369 0.687

=====

Record 9
The following is a DFT calculation (PBE-GGA) of a relaxed Mg2Si crystal.

Results
The space group is Fd-3m (227). As for the total energy: -2.4451 eV/atom. The formation energy comes out at 454 meV per atom. For the mass density, the calculation gives 2.1 g/cm3.

Unit cell a=5.589 b=5.589 c=5.589 alpha=60.00 beta=60.00 gamma=60.00
Positions (direct):
Mg: 0.000 0.000 0.000
Mg: 0.000 0.000 0.500
Mg: 0.000 0.500 0.000
Mg: 0.500 0.000 0.000
Si: 0.375 0.375 0.375
Si: 0.625 0.625 0.625

=====

Record 10
The following is a DFT calculation (PBE-GGA) of a relaxed NdGa crystal.

Results
The space group is Cmcm (63). As for the total energy: -4.4863 eV/atom. The formation energy comes out at -588 meV per atom. For the mass density, the calculation gives 6.7 g/cm3.

Unit cell a=6.095 b=6.095 c=4.186 alpha=90.00 beta=90.00 gamma=136.87
Positions (direct):
Nd: 0.141 0.859 0.750
Nd: 0.859 0.141 0.250
Ga: 0.429 0.571 0.750
Ga: 0.571 0.429 0.250

=====

Record 11
The following is a DFT calculation (PBE-GGA) of a relaxed Pu2SnPd2 crystal.

Results
The space group is P4/mbm (127). As for the total energy: -8.3835 eV/atom. The formation energy comes out at 198 meV per atom. For the mass density, the calculation gives 12.4 g/cm3.

Unit cell a=7.567 b=7.567 c=3.825 alpha=90.00 beta=90.00 gamma=90.00
Positions (direct):
Pu: 0.175 0.325 0.000
Pu: 0.325 0.825 0.000
Pu: 0.675 0.175 0.000
Pu: 0.825 0.675 0.000
Sn: 0.000 0.000 0.500
Sn: 0.500 0.500 0.500
Pd: 0.130 0.630 0.500
Pd: 0.370 0.130 0.500
Pd: 0.630 0.870 0.500
Pd: 0.870 0.370 0.500

=====

Record 12
The following is a DFT calculation (PBE-GGA) of a relaxed Na15Mg7Ta5Si9S9O72 crystal.

Results
The space group is P1 (1). As for the total energy: -6.7396 eV/atom. The formation energy comes out at -2610 meV per atom. For the mass density, the calculation gives 3.3 g/cm3.

Unit cell a=8.956 b=8.972 c=22.522 alpha=90.34 beta=90.12 gamma=119.81
Positions (direct):
Na: 0.000 0.000 0.000
Na: 0.000 0.341 0.837
Na: 0.013 0.390 0.488
Na: 0.269 0.988 0.492
Na: 0.273 0.663 0.993
Na: 0.295 0.331 0.402
Na: 0.327 0.381 0.909
Na: 0.331 0.679 0.331
Na: 0.332 0.028 0.826
Na: 0.613 0.316 0.318
Na: 0.635 0.992 0.744
Na: 0.661 0.037 0.236
Na: 0.678 0.388 0.001
Na: 0.981 0.682 0.073
Na: 0.988 0.703 0.578
Mg: 0.000 0.693 0.730
Mg: 0.000 0.695 0.434
Mg: 0.309 0.332 0.267
Mg: 0.328 0.368 0.765
Mg: 0.649 0.007 0.600
Mg: 0.653 0.030 0.099
Mg: 0.991 0.681 0.933
Ta: 0.316 0.355 0.561
Ta: 0.329 0.352 0.061
Ta: 0.643 0.007 0.901
Ta: 0.658 0.013 0.394
Ta: 0.991 0.676 0.227
Si: 0.278 0.983 0.335
Si: 0.283 0.685 0.831
Si: 0.356 0.012 0.001
Si: 0.363 0.731 0.501
Si: 0.613 0.348 0.170
Si: 0.657 0.729 0.004
Si: 0.936 0.006 0.503
Si: 0.943 0.310 0.999
Si: 0.988 0.391 0.335
S: 0.023 0.351 0.666
S: 0.028 0.058 0.165
S: 0.321 0.641 0.167
S: 0.322 0.064 0.666
S: 0.615 0.643 0.666
S: 0.649 0.306 0.500
S: 0.692 0.391 0.830
S: 0.704 0.690 0.332
S: 0.981 0.976 0.830
O: 0.001 0.900 0.885
O: 0.003 0.497 0.394
O: 0.016 0.511 0.666
O: 0.022 0.886 0.170
O: 0.110 0.331 0.718
O: 0.111 0.163 0.217
O: 0.134 0.142 0.110
O: 0.134 0.320 0.007
O: 0.139 0.150 0.824
O: 0.139 0.367 0.610
O: 0.140 0.191 0.508
O: 0.156 0.656 0.169
O: 0.162 0.385 0.323
O: 0.162 0.866 0.989
O: 0.162 0.897 0.664
O: 0.164 0.681 0.495
O: 0.176 0.659 0.891
O: 0.176 0.849 0.277
O: 0.178 0.899 0.395
O: 0.205 0.739 0.775
O: 0.292 0.532 0.112
O: 0.299 0.512 0.824
O: 0.311 0.164 0.611
O: 0.324 0.179 0.328
O: 0.330 0.556 0.221
O: 0.334 0.165 0.720
O: 0.352 0.537 0.509
O: 0.353 0.198 0.006
O: 0.439 0.967 0.054
O: 0.448 0.864 0.554
O: 0.470 0.813 0.161
O: 0.471 0.541 0.008
O: 0.471 0.986 0.338
O: 0.479 0.051 0.660
O: 0.483 0.312 0.505
O: 0.483 0.868 0.838
O: 0.486 0.059 0.940
O: 0.486 0.819 0.439
O: 0.509 0.350 0.823
O: 0.510 0.373 0.110
O: 0.511 0.348 0.228
O: 0.512 0.558 0.719
O: 0.516 0.531 0.612
O: 0.526 0.549 0.325
O: 0.610 0.817 0.944
O: 0.615 0.194 0.445
O: 0.628 0.813 0.660
O: 0.642 0.188 0.163
O: 0.679 0.230 0.552
O: 0.684 0.216 0.834
O: 0.691 0.854 0.336
O: 0.697 0.851 0.059
O: 0.763 0.487 0.885
O: 0.781 0.664 0.384
O: 0.784 0.653 0.667
O: 0.792 0.479 0.490
O: 0.799 0.476 0.778
O: 0.806 0.202 0.338
O: 0.807 0.537 0.172
O: 0.807 0.689 0.987
O: 0.810 0.716 0.277
O: 0.817 0.221 0.052
O: 0.829 0.008 0.834
O: 0.837 0.012 0.559
O: 0.853 0.055 0.442
O: 0.853 0.199 0.658
O: 0.854 0.031 0.159
O: 0.862 0.187 0.936
O: 0.952 0.869 0.777
O: 0.953 0.491 0.276
O: 0.971 0.850 0.494
O: 0.975 0.501 0.991